A relaxed structure of MgFe6O6F6, computed with PBE with a Hubbard U.

Lattice parameters (Å, degrees): 3.1089 5.1434 14.2972 92.58 90.12 90.08
Space group P1 (No. 1)
Unique sites:
1 Mg 0.0000 0.0000 0.0000
2 Fe 0.0022 0.5002 0.9440
3 Fe 0.4904 0.8684 0.1973
4 Fe 0.4944 0.8993 0.4915
5 Fe 0.5004 0.9772 0.8118
6 Fe 0.9933 0.3059 0.3306
7 Fe 0.9957 0.4048 0.6178
8 O 0.0013 0.1679 0.8696
9 O 0.4935 0.1591 0.3916
10 O 0.4956 0.5901 0.5785
11 O 0.5023 0.7629 0.9255
12 O 0.9909 0.0861 0.2187
13 O 0.9954 0.0703 0.5535
14 F 0.9995 0.7667 0.7508
15 F 0.0050 0.7057 0.0833
16 F 0.4942 0.5279 0.2683
17 F 0.4987 0.2524 0.7108
18 F 0.5012 0.2345 0.0298
19 F 0.9944 0.6797 0.4199

Summary:
distance to the lowest polymorph of the same formula	46	meV/atom
total DFT energy (no corrections)	-113.02	eV per cell